Here is a geometry-optimized Na2MoO4 structure from the Materials Project. Energies are from PBE+U.

Output
Calculated formation energy ... -15.0 eV/f.u.
Calculated volume ... 112 Å³/f.u.
Symmetry ... Fddd, No. 70

```
Na2MoO4
1.0
0.000 5.335 6.435
3.253 0.000 6.435
3.253 5.335 0.000
Na Mo O
4 2 8
Direct
0.819 0.181 0.819
0.181 0.819 0.181
0.069 0.431 0.069
0.431 0.069 0.431
0.500 0.500 0.500
0.750 0.750 0.750
0.772 0.883 0.932
0.413 0.932 0.883
0.932 0.413 0.772
0.883 0.772 0.413
0.478 0.367 0.318
0.837 0.318 0.367
0.367 0.478 0.837
0.318 0.837 0.478
```